Density functional theory data (GGA-PBE) for Gd2CdIn after structural relaxation.

Properties
Space group ... Fm-3m, No. 225
Calculated volume ... 26.71 Å³ per atom
DFT formation energy ... -1.75 eV/f.u.

a b c (Å): 7.5320 7.5320 7.5320
angles (deg): 90.00 90.00 90.00
Last column: nearest neighbours and their distance in Å.
Atoms (fractional coordinates):
Gd: 0.2500 0.2500 0.2500  4 Cd 3.26, 4 In 3.26
Gd: 0.2500 0.2500 0.7500  4 Cd 3.26, 4 In 3.26
Gd: 0.2500 0.7500 0.2500  4 Cd 3.26, 4 In 3.26
Gd: 0.2500 0.7500 0.7500  4 Cd 3.26, 4 In 3.26
Gd: 0.7500 0.2500 0.2500  4 Cd 3.26, 4 In 3.26
Gd: 0.7500 0.2500 0.7500  4 Cd 3.26, 4 In 3.26
Gd: 0.7500 0.7500 0.2500  4 Cd 3.26, 4 In 3.26
Gd: 0.7500 0.7500 0.7500  4 Cd 3.26, 4 In 3.26
Cd: 0.0000 0.0000 0.0000  8 Gd 3.26
Cd: 0.0000 0.5000 0.5000  8 Gd 3.26
Cd: 0.5000 0.0000 0.5000  8 Gd 3.26
Cd: 0.5000 0.5000 0.0000  8 Gd 3.26
In: 0.0000 0.0000 0.5000  8 Gd 3.26
In: 0.0000 0.5000 0.0000  8 Gd 3.26
In: 0.5000 0.0000 0.0000  8 Gd 3.26
In: 0.5000 0.5000 0.5000  8 Gd 3.26

Density functional theory data (GGA-PBE) for GdLuCd2 after structural relaxation.

Properties
Space group ... Fm-3m, No. 225
Total moment ... 6.5 μB/cell
Calculated volume ... 25.66 Å³ per atom
DFT formation energy ... 3.77 eV/f.u.

a b c (Å): 7.4324 7.4324 7.4324
angles (deg): 90.00 90.00 90.00
Last column: nearest neighbours and their distance in Å.
Atoms (fractional coordinates):
Gd: 0.0000 0.0000 0.0000  8 Cd 3.22
Gd: 0.0000 0.5000 0.5000  8 Cd 3.22
Gd: 0.5000 0.0000 0.5000  8 Cd 3.22
Gd: 0.5000 0.5000 0.0000  8 Cd 3.22
Lu: 0.0000 0.0000 0.5000  8 Cd 3.22
Lu: 0.0000 0.5000 0.0000  8 Cd 3.22
Lu: 0.5000 0.0000 0.0000  8 Cd 3.22
Lu: 0.5000 0.5000 0.5000  8 Cd 3.22
Cd: 0.2500 0.2500 0.2500  4 Gd 3.22, 4 Lu 3.22
Cd: 0.2500 0.2500 0.7500  4 Gd 3.22, 4 Lu 3.22
Cd: 0.2500 0.7500 0.2500  4 Gd 3.22, 4 Lu 3.22
Cd: 0.2500 0.7500 0.7500  4 Gd 3.22, 4 Lu 3.22
Cd: 0.7500 0.2500 0.2500  4 Gd 3.22, 4 Lu 3.22
Cd: 0.7500 0.2500 0.7500  4 Gd 3.22, 4 Lu 3.22
Cd: 0.7500 0.7500 0.2500  4 Gd 3.22, 4 Lu 3.22
Cd: 0.7500 0.7500 0.7500  4 Gd 3.22, 4 Lu 3.22